(1)
CuP10 GGA-PBE optimized geometry; crystal system = triclinic; final energy = -5.3373 eV/atom; formation energy from the elements = -43 meV per atom
1.0
-4.922 -5.310 0.313
0.385 -2.664 -11.283
7.552 -8.962 -2.278
P Cu
40 4
direct
0.236 0.610 0.295
0.506 0.112 0.706
0.058 0.318 0.418
0.189 0.355 0.232
0.492 0.159 0.032
0.224 0.436 0.477
0.526 0.095 0.231
0.811 0.645 0.768
0.494 0.888 0.294
0.519 0.854 0.488
0.505 0.350 0.443
0.058 0.547 0.191
0.825 0.874 0.493
0.474 0.905 0.769
0.504 0.626 0.749
0.496 0.374 0.251
0.486 0.427 0.791
0.514 0.573 0.209
0.749 0.798 0.244
0.764 0.390 0.705
0.942 0.682 0.582
0.070 0.100 0.699
0.524 0.362 0.986
0.064 0.830 0.963
0.495 0.650 0.557
0.175 0.126 0.507
0.830 0.369 0.000
0.481 0.146 0.512
0.835 0.105 0.236
0.508 0.841 0.968
0.170 0.631 0.000
0.776 0.564 0.523
0.165 0.895 0.764
0.251 0.202 0.756
0.250 0.905 0.045
0.936 0.170 0.037
0.750 0.095 0.955
0.476 0.638 0.014
0.930 0.900 0.301
0.942 0.453 0.809
0.224 0.825 0.255
0.770 0.881 0.034
0.776 0.175 0.745
0.230 0.119 0.966

---

(2)
Cu3P GGA-PBE optimized geometry; crystal system = trigonal; final energy = -4.4471 eV/atom; formation energy from the elements = -19 meV per atom
1.0
3.484 -6.034 0.000
3.484 6.034 0.000
0.000 0.000 7.179
P Cu
6 18
direct
0.663 0.663 0.750
0.337 0.337 0.250
0.000 0.337 0.750
0.337 0.000 0.750
0.663 0.000 0.250
0.000 0.663 0.250
0.691 0.066 0.576
0.066 0.691 0.924
0.066 0.375 0.424
0.667 0.333 0.825
0.309 0.934 0.424
0.934 0.625 0.576
0.000 0.000 0.750
0.934 0.309 0.076
0.000 0.000 0.250
0.667 0.333 0.325
0.375 0.309 0.576
0.309 0.375 0.924
0.333 0.667 0.175
0.691 0.625 0.076
0.625 0.691 0.424
0.625 0.934 0.924
0.333 0.667 0.675
0.375 0.066 0.076

---

(3)
Cu3P GGA-PBE optimized geometry; crystal system = trigonal; final energy = -4.4098 eV/atom; formation energy from the elements = 18 meV per atom
1.0
2.027 -3.512 0.000
2.027 3.512 0.000
0.000 0.000 7.151
Cu P
6 2
direct
0.667 0.333 0.413
0.333 0.667 0.938
0.000 0.000 0.780
0.000 0.000 0.220
0.667 0.333 0.062
0.333 0.667 0.587
0.667 0.333 0.738
0.333 0.667 0.262

---

(4)
Cu7PS6 GGA-PBE optimized geometry; crystal system = cubic; final energy = -4.3807 eV/atom; formation energy from the elements = -387 meV per atom
1.0
9.637 0.000 0.000
0.000 9.637 0.000
0.000 0.000 9.637
S P Cu
24 4 28
direct
0.370 0.871 0.117
0.629 0.883 0.870
0.513 0.487 0.987
0.630 0.371 0.383
0.728 0.772 0.228
0.013 0.013 0.013
0.383 0.630 0.371
0.870 0.629 0.883
0.872 0.372 0.128
0.871 0.117 0.370
0.987 0.513 0.487
0.117 0.370 0.871
0.129 0.617 0.130
0.883 0.870 0.629
0.617 0.130 0.129
0.128 0.872 0.372
0.372 0.128 0.872
0.487 0.987 0.513
0.228 0.728 0.772
0.272 0.272 0.272
0.772 0.228 0.728
0.628 0.628 0.628
0.371 0.383 0.630
0.130 0.129 0.617
0.753 0.753 0.753
0.253 0.747 0.247
0.247 0.253 0.747
0.747 0.247 0.253
0.513 0.723 0.005
0.005 0.513 0.723
0.235 0.926 0.906
0.644 0.356 0.856
0.906 0.235 0.926
0.265 0.074 0.406
0.856 0.644 0.356
0.144 0.144 0.144
0.987 0.277 0.505
0.594 0.765 0.426
0.356 0.856 0.644
0.926 0.906 0.235
0.777 0.995 0.013
0.094 0.735 0.574
0.277 0.505 0.987
0.765 0.426 0.594
0.505 0.987 0.277
0.574 0.094 0.735
0.995 0.013 0.777
0.735 0.574 0.094
0.013 0.777 0.995
0.074 0.406 0.265
0.406 0.265 0.074
0.223 0.495 0.487
0.426 0.594 0.765
0.487 0.223 0.495
0.495 0.487 0.223
0.723 0.005 0.513

---

(5)
Cu3PSe4 GGA-PBE optimized geometry; crystal system = orthorhombic; final energy = -4.1016 eV/atom; formation energy from the elements = -376 meV per atom
1.0
-4.517 4.072 -2.090
-0.469 -3.469 -5.747
-5.492 -4.475 3.150
Se Cu P
8 6 2
direct
0.375 0.353 0.000
0.882 0.163 0.743
0.382 0.837 0.757
0.882 0.163 0.257
0.875 0.647 0.500
0.382 0.837 0.243
0.858 0.679 0.000
0.358 0.321 0.500
0.509 0.176 0.754
0.509 0.176 0.246
0.997 0.347 0.000
0.009 0.824 0.254
0.009 0.824 0.746
0.497 0.653 0.500
0.000 0.328 0.500
0.500 0.672 0.000

---

(6)
CuPSe2 GGA-PBE optimized geometry; crystal system = trigonal; final energy = -4.0853 eV/atom; formation energy from the elements = -195 meV per atom
1.0
2.130 -3.690 0.000
2.130 3.690 0.000
0.000 0.000 5.798
P Cu Se
1 1 2
direct
0.667 0.333 0.990
0.000 0.000 0.487
0.000 0.000 0.902
0.667 0.333 0.382

---

(7)
TlCuPSe3 GGA-PBE optimized geometry; crystal system = monoclinic; final energy = -3.9706 eV/atom; formation energy from the elements = -479 meV per atom
1.0
9.439 0.000 0.000
0.000 7.667 0.000
0.000 7.491 8.684
Se P Cu Tl
12 4 4 4
direct
0.276 0.228 0.508
0.527 0.678 0.811
0.719 0.239 0.503
0.473 0.322 0.189
0.219 0.761 0.997
0.281 0.761 0.497
0.027 0.322 0.689
0.776 0.772 0.992
0.724 0.772 0.492
0.781 0.239 0.003
0.224 0.228 0.008
0.973 0.678 0.311
0.101 0.070 0.930
0.399 0.070 0.430
0.601 0.930 0.570
0.899 0.930 0.070
0.666 0.087 0.233
0.834 0.087 0.733
0.334 0.913 0.767
0.166 0.913 0.267
0.525 0.291 0.756
0.975 0.291 0.256
0.475 0.709 0.244
0.025 0.709 0.744

---

(8)
CuSi2P3 GGA-PBE optimized geometry; crystal system = trigonal; final energy = -5.2231 eV/atom; formation energy from the elements = -25 meV per atom
1.0
1.866 -3.232 0.000
1.866 3.232 0.000
0.000 0.000 9.086
P Cu Si
3 1 2
direct
0.333 0.667 0.992
0.667 0.333 0.335
0.000 0.000 0.670
0.333 0.667 0.737
0.000 0.000 0.433
0.667 0.333 0.083

---

- Which of these has the lowest formation energy from the elements?
  TlCuPSe3